[1]
A plane-wave DFT calculation with PBE-GGA was carried out for crystalline SiGe at its relaxed geometry.

Unit cell a=11.199 b=5.601 c=11.201 alpha=90.00 beta=90.01 gamma=90.00
Fractional coordinates of all 32 atoms:
Si 0.001 0.000 0.127
Si 0.123 0.240 0.250
Si 0.127 0.741 0.502
Si 0.251 0.991 0.871
Si 0.253 0.500 0.623
Si 0.373 0.751 0.745
Si 0.377 0.251 0.502
Si 0.497 0.992 0.621
Si 0.503 0.492 0.379
Si 0.623 0.751 0.498
Si 0.627 0.251 0.255
Si 0.747 0.000 0.377
Si 0.749 0.491 0.129
Si 0.873 0.241 0.498
Si 0.877 0.740 0.750
Si 0.999 0.500 0.873
Ge 0.001 0.491 0.377
Ge 0.123 0.751 0.998
Ge 0.127 0.251 0.750
Ge 0.247 0.491 0.127
Ge 0.249 0.000 0.379
Ge 0.373 0.240 0.998
Ge 0.377 0.741 0.255
Ge 0.497 0.501 0.871
Ge 0.503 0.001 0.129
Ge 0.623 0.241 0.745
Ge 0.627 0.740 0.002
Ge 0.751 0.500 0.621
Ge 0.753 0.991 0.873
Ge 0.873 0.751 0.250
Ge 0.877 0.251 0.002
Ge 0.999 0.991 0.623

Results
Energy: -10.01 eV/f.u.
E_form: 2 kJ/mol of atoms
Total moment: 0.002 μB per cell

[2]
A plane-wave DFT calculation with PBE-GGA was carried out for crystalline TaC at its relaxed geometry.

Unit cell a=3.169 b=3.169 c=3.169 alpha=60.00 beta=60.00 gamma=60.00
Fractional coordinates of all 2 atoms:
Ta 0.000 0.000 0.000
C 0.500 0.500 0.500

Results
Energy above the lowest structure with this stoichiometry: 0.000 eV/atom
Energy: -22.24 eV/f.u.
E_form: -56 kJ/mol of atoms

[3]
A plane-wave DFT calculation with PBE-GGA was carried out for crystalline InFeBr3 at its relaxed geometry.

Unit cell a=9.208 b=3.722 c=15.285 alpha=90.00 beta=90.00 gamma=90.00
Fractional coordinates of all 20 atoms:
In 0.052 0.250 0.173
In 0.448 0.750 0.673
In 0.552 0.250 0.327
In 0.948 0.750 0.827
Fe 0.149 0.750 0.451
Fe 0.351 0.250 0.951
Fe 0.649 0.750 0.049
Fe 0.851 0.250 0.549
Br 0.016 0.750 0.591
Br 0.193 0.750 0.997
Br 0.236 0.250 0.804
Br 0.264 0.750 0.304
Br 0.307 0.250 0.497
Br 0.484 0.250 0.091
Br 0.516 0.750 0.909
Br 0.693 0.750 0.503
Br 0.736 0.250 0.696
Br 0.764 0.750 0.196
Br 0.807 0.250 0.003
Br 0.984 0.250 0.409

Results
Energy: -18.17 eV/f.u.
E_form: -70 kJ/mol of atoms
Total moment: 16.001 μB per cell

[4]
A plane-wave DFT calculation with PBE-GGA was carried out for crystalline CaAg2O4 at its relaxed geometry.

Unit cell a=3.495 b=11.008 c=9.954 alpha=90.00 beta=90.00 gamma=90.00
Fractional coordinates of all 28 atoms:
Ca 0.127 0.150 0.250
Ca 0.127 0.350 0.750
Ca 0.873 0.650 0.250
Ca 0.873 0.850 0.750
Ag 0.347 0.614 0.570
Ag 0.347 0.614 0.930
Ag 0.347 0.886 0.070
Ag 0.347 0.886 0.430
Ag 0.653 0.114 0.570
Ag 0.653 0.114 0.930
Ag 0.653 0.386 0.070
Ag 0.653 0.386 0.430
O 0.008 0.750 0.000
O 0.008 0.750 0.500
O 0.365 0.543 0.119
O 0.365 0.543 0.381
O 0.365 0.957 0.619
O 0.365 0.957 0.881
O 0.366 0.702 0.750
O 0.366 0.798 0.250
O 0.634 0.202 0.750
O 0.634 0.298 0.250
O 0.635 0.043 0.119
O 0.635 0.043 0.381
O 0.635 0.457 0.619
O 0.635 0.457 0.881
O 0.992 0.250 0.000
O 0.992 0.250 0.500

Results
Energy above the lowest structure with this stoichiometry: 0.034 eV/atom
Energy: -33.90 eV/f.u.
E_form: -127 kJ/mol of atoms
Total moment: 0.001 μB per cell

[5]
A plane-wave DFT calculation with PBE-GGA was carried out for crystalline Cr7Se10 at its relaxed geometry.

Unit cell a=29.864 b=29.864 c=6.371 alpha=94.80 beta=94.80 gamma=7.03
Fractional coordinates of all 34 atoms:
Cr 0.047 0.047 0.030
Cr 0.099 0.099 0.095
Cr 0.152 0.152 0.172
Cr 0.248 0.248 0.227
Cr 0.300 0.300 0.300
Cr 0.352 0.352 0.373
Cr 0.450 0.450 0.433
Cr 0.550 0.550 0.567
Cr 0.648 0.648 0.627
Cr 0.700 0.700 0.700
Cr 0.752 0.752 0.773
Cr 0.848 0.848 0.828
Cr 0.901 0.901 0.905
Cr 0.953 0.953 0.970
Se 0.028 0.028 0.368
Se 0.075 0.075 0.744
Se 0.124 0.124 0.454
Se 0.173 0.173 0.832
Se 0.227 0.227 0.568
Se 0.276 0.276 0.945
Se 0.324 0.324 0.655
Se 0.373 0.373 0.032
Se 0.426 0.426 0.766
Se 0.475 0.475 0.142
Se 0.525 0.525 0.858
Se 0.574 0.574 0.234
Se 0.627 0.627 0.968
Se 0.676 0.676 0.345
Se 0.724 0.724 0.055
Se 0.773 0.773 0.432
Se 0.827 0.827 0.168
Se 0.876 0.876 0.546
Se 0.925 0.925 0.256
Se 0.972 0.972 0.632

Results
Energy: -97.93 eV/f.u.
E_form: -1 kJ/mol of atoms
Total moment: 40.002 μB per cell

[6]
A plane-wave DFT calculation with PBE-GGA was carried out for crystalline Cr2S3 at its relaxed geometry.

Unit cell a=5.954 b=5.954 c=10.943 alpha=90.00 beta=90.00 gamma=120.00
Fractional coordinates of all 20 atoms:
Cr 0.000 0.000 0.000
Cr 0.000 0.000 0.247
Cr 0.000 0.000 0.516
Cr 0.333 0.667 0.010
Cr 0.333 0.667 0.500
Cr 0.333 0.667 0.756
Cr 0.667 0.333 0.005
Cr 0.667 0.333 0.500
S 0.002 0.660 0.628
S 0.004 0.341 0.885
S 0.324 0.004 0.383
S 0.331 0.327 0.125
S 0.337 0.996 0.885
S 0.340 0.343 0.628
S 0.657 0.998 0.628
S 0.659 0.663 0.885
S 0.673 0.004 0.125
S 0.680 0.676 0.383
S 0.996 0.320 0.383
S 0.996 0.669 0.125

Results
Energy: -35.04 eV/f.u.
E_form: -93 kJ/mol of atoms
Total moment: 22.000 μB per cell

[7]
A plane-wave DFT calculation with PBE-GGA was carried out for crystalline Gd2NCl3 at its relaxed geometry.

Unit cell a=13.152 b=6.775 c=6.172 alpha=90.00 beta=90.00 gamma=90.00
Fractional coordinates of all 24 atoms:
Gd 0.092 0.172 0.008
Gd 0.092 0.828 0.508
Gd 0.408 0.328 0.508
Gd 0.408 0.672 0.008
Gd 0.592 0.328 0.992
Gd 0.592 0.672 0.492
Gd 0.908 0.172 0.492
Gd 0.908 0.828 0.992
N 0.000 0.010 0.750
N 0.000 0.990 0.250
N 0.500 0.490 0.250
N 0.500 0.510 0.750
Cl 0.000 0.497 0.250
Cl 0.000 0.503 0.750
Cl 0.221 0.135 0.389
Cl 0.221 0.865 0.889
Cl 0.279 0.365 0.889
Cl 0.279 0.635 0.389
Cl 0.500 0.003 0.750
Cl 0.500 0.997 0.250
Cl 0.721 0.365 0.611
Cl 0.721 0.635 0.111
Cl 0.779 0.135 0.111
Cl 0.779 0.865 0.611

Results
Energy: -54.72 eV/f.u.
E_form: -234 kJ/mol of atoms

[8]
A plane-wave DFT calculation with PBE-GGA was carried out for crystalline SiO2 at its relaxed geometry.

Unit cell a=12.774 b=12.774 c=13.354 alpha=90.00 beta=90.00 gamma=90.00
Fractional coordinates of all 96 atoms:
Si 0.000 0.127 0.118
Si 0.000 0.127 0.882
Si 0.000 0.873 0.118
Si 0.000 0.873 0.882
Si 0.125 0.378 0.385
Si 0.125 0.378 0.615
Si 0.125 0.622 0.385
Si 0.125 0.622 0.615
Si 0.127 0.000 0.382
Si 0.127 0.000 0.618
Si 0.194 0.194 0.250
Si 0.194 0.194 0.750
Si 0.194 0.806 0.250
Si 0.194 0.806 0.750
Si 0.378 0.125 0.115
Si 0.378 0.125 0.885
Si 0.378 0.875 0.115
Si 0.378 0.875 0.885
Si 0.622 0.125 0.115
Si 0.622 0.125 0.885
Si 0.622 0.875 0.115
Si 0.622 0.875 0.885
Si 0.806 0.194 0.250
Si 0.806 0.194 0.750
Si 0.806 0.806 0.250
Si 0.806 0.806 0.750
Si 0.873 0.000 0.382
Si 0.873 0.000 0.618
Si 0.875 0.378 0.385
Si 0.875 0.378 0.615
Si 0.875 0.622 0.385
Si 0.875 0.622 0.615
O 0.000 0.000 0.136
O 0.000 0.000 0.364
O 0.000 0.000 0.636
O 0.000 0.000 0.864
O 0.000 0.152 0.000
O 0.000 0.354 0.373
O 0.000 0.354 0.627
O 0.000 0.646 0.373
O 0.000 0.646 0.627
O 0.000 0.848 0.000
O 0.103 0.180 0.166
O 0.103 0.180 0.834
O 0.103 0.820 0.166
O 0.103 0.820 0.834
O 0.149 0.500 0.361
O 0.149 0.500 0.639
O 0.152 0.000 0.500
O 0.160 0.350 0.500
O 0.160 0.650 0.500
O 0.180 0.103 0.334
O 0.180 0.103 0.666
O 0.180 0.897 0.334
O 0.180 0.897 0.666
O 0.189 0.307 0.305
O 0.189 0.307 0.695
O 0.189 0.693 0.305
O 0.189 0.693 0.695
O 0.307 0.189 0.195
O 0.307 0.189 0.805
O 0.307 0.811 0.195
O 0.307 0.811 0.805
O 0.350 0.160 0.000
O 0.350 0.840 0.000
O 0.354 0.000 0.127
O 0.354 0.000 0.873
O 0.500 0.149 0.139
O 0.500 0.149 0.861
O 0.500 0.851 0.139
O 0.500 0.851 0.861
O 0.646 0.000 0.127
O 0.646 0.000 0.873
O 0.650 0.160 0.000
O 0.650 0.840 0.000
O 0.693 0.189 0.195
O 0.693 0.189 0.805
O 0.693 0.811 0.195
O 0.693 0.811 0.805
O 0.811 0.307 0.305
O 0.811 0.307 0.695
O 0.811 0.693 0.305
O 0.811 0.693 0.695
O 0.820 0.103 0.334
O 0.820 0.103 0.666
O 0.820 0.897 0.334
O 0.820 0.897 0.666
O 0.840 0.350 0.500
O 0.840 0.650 0.500
O 0.848 0.000 0.500
O 0.851 0.500 0.361
O 0.851 0.500 0.639
O 0.897 0.180 0.166
O 0.897 0.180 0.834
O 0.897 0.820 0.166
O 0.897 0.820 0.834

Results
Energy: -23.70 eV/f.u.
E_form: -314 kJ/mol of atoms
Total moment: 0.003 μB per cell

[9]
A plane-wave DFT calculation with PBE-GGA was carried out for crystalline ZrFeN2 at its relaxed geometry.

Unit cell a=6.310 b=4.398 c=7.202 alpha=90.00 beta=90.00 gamma=90.00
Fractional coordinates of all 16 atoms:
Zr 0.109 0.250 0.127
Zr 0.391 0.750 0.627
Zr 0.609 0.250 0.373
Zr 0.891 0.750 0.873
Fe 0.068 0.250 0.632
Fe 0.432 0.750 0.132
Fe 0.568 0.250 0.868
Fe 0.932 0.750 0.368
N 0.056 0.750 0.621
N 0.095 0.750 0.118
N 0.405 0.250 0.618
N 0.444 0.250 0.121
N 0.556 0.750 0.879
N 0.595 0.750 0.382
N 0.905 0.250 0.882
N 0.944 0.250 0.379

Results
Energy: -36.57 eV/f.u.
E_form: -87 kJ/mol of atoms
Total moment: 12.661 μB per cell

[10]
A plane-wave DFT calculation with PBE-GGA was carried out for crystalline NaNdB6O13 at its relaxed geometry.

Unit cell a=6.782 b=7.411 c=11.629 alpha=92.84 beta=105.23 gamma=90.05
Fractional coordinates of all 42 atoms:
Na 0.202 0.476 0.391
Na 0.798 0.524 0.609
Nd 0.199 0.764 0.926
Nd 0.801 0.236 0.074
B 0.000 0.120 0.873
B 0.000 0.880 0.127
B 0.150 0.029 0.337
B 0.277 0.266 0.041
B 0.294 0.536 0.655
B 0.303 0.396 0.844
B 0.498 0.276 0.718
B 0.502 0.724 0.282
B 0.697 0.604 0.156
B 0.706 0.464 0.345
B 0.723 0.734 0.959
B 0.850 0.971 0.663
O 0.013 0.009 0.225
O 0.142 0.765 0.113
O 0.155 0.316 0.121
O 0.178 0.174 0.410
O 0.185 0.098 0.959
O 0.201 0.631 0.567
O 0.215 0.518 0.758
O 0.266 0.422 0.953
O 0.277 0.874 0.382
O 0.415 0.886 0.308
O 0.423 0.259 0.817
O 0.470 0.426 0.653
O 0.480 0.234 0.105
O 0.520 0.766 0.895
O 0.530 0.574 0.347
O 0.577 0.741 0.183
O 0.585 0.114 0.692
O 0.723 0.126 0.618
O 0.734 0.578 0.047
O 0.785 0.482 0.242
O 0.799 0.369 0.433
O 0.815 0.902 0.041
O 0.822 0.826 0.590
O 0.845 0.684 0.879
O 0.858 0.235 0.887
O 0.987 0.991 0.775

Results
Energy above the lowest structure with this stoichiometry: 0.385 eV/atom
Energy: -153.36 eV/f.u.
E_form: -207 kJ/mol of atoms
Total moment: 3.997 μB per cell

[11]
A plane-wave DFT calculation with PBE-GGA was carried out for crystalline HfMnN2 at its relaxed geometry.

Unit cell a=3.153 b=3.153 c=4.927 alpha=108.65 beta=108.65 gamma=59.85
Fractional coordinates of all 4 atoms:
Hf 0.000 0.000 0.000
Mn 0.500 0.500 0.500
N 0.243 0.243 0.730
N 0.757 0.757 0.270

Results
Energy: -39.54 eV/f.u.
E_form: -108 kJ/mol of atoms
Total moment: 1.009 μB per cell

[12]
A plane-wave DFT calculation with PBE-GGA was carried out for crystalline HfTiCN at its relaxed geometry.

Unit cell a=5.446 b=5.446 c=5.446 alpha=33.68 beta=33.68 gamma=33.68
Fractional coordinates of all 4 atoms:
Hf 0.000 0.000 0.000
Ti 0.498 0.498 0.498
C 0.754 0.754 0.754
N 0.247 0.247 0.247

Results
Energy: -40.69 eV/f.u.
E_form: -136 kJ/mol of atoms
Total moment: 0.003 μB per cell

[13]
A plane-wave DFT calculation with PBE-GGA was carried out for crystalline TaV3N4 at its relaxed geometry.

Unit cell a=4.220 b=4.220 c=4.220 alpha=90.00 beta=90.00 gamma=90.00
Fractional coordinates of all 8 atoms:
Ta 0.000 0.000 0.000
V 0.000 0.500 0.500
V 0.500 0.000 0.500
V 0.500 0.500 0.000
N 0.000 0.000 0.500
N 0.000 0.500 0.000
N 0.500 0.000 0.000
N 0.500 0.500 0.500

Results
Energy: -80.07 eV/f.u.
E_form: -109 kJ/mol of atoms
Total moment: 0.002 μB per cell